[1]
Compound: NaTa2Al2P5SO24
Source: the Materials Project
Functional: GGA-PBE
Structure: relaxed

Lattice parameters (Å, degrees): 8.545 8.562 22.115 90.18 90.02 119.93
Space group P1 (No. 1)
Symmetry-distinct sites (fractional):
Na: 0.000 0.000 0.000 (multiplicity 1)
Na: 0.003 0.001 0.507 (multiplicity 1)
Na: 0.667 0.334 0.173 (multiplicity 1)
Ta: 0.005 0.000 0.357 (multiplicity 1)
Ta: 0.332 0.665 0.195 (multiplicity 1)
Ta: 0.335 0.668 0.974 (multiplicity 1)
Ta: 0.338 0.672 0.693 (multiplicity 1)
Ta: 0.665 0.338 0.528 (multiplicity 1)
Ta: 0.666 0.333 0.021 (multiplicity 1)
Al: 0.000 0.001 0.148 (multiplicity 1)
Al: 0.324 0.657 0.481 (multiplicity 1)
Al: 0.667 0.327 0.812 (multiplicity 1)
Al: 0.669 0.344 0.314 (multiplicity 1)
Al: 0.993 0.998 0.854 (multiplicity 1)
Al: 0.994 0.004 0.647 (multiplicity 1)
P: 0.047 0.677 0.085 (multiplicity 1)
P: 0.056 0.376 0.584 (multiplicity 1)
P: 0.294 0.016 0.249 (multiplicity 1)
P: 0.319 0.943 0.583 (multiplicity 1)
P: 0.324 0.371 0.085 (multiplicity 1)
P: 0.374 0.052 0.912 (multiplicity 1)
P: 0.389 0.348 0.417 (multiplicity 1)
P: 0.622 0.683 0.583 (multiplicity 1)
P: 0.628 0.953 0.086 (multiplicity 1)
P: 0.677 0.622 0.911 (multiplicity 1)
P: 0.724 0.711 0.249 (multiplicity 1)
P: 0.729 0.014 0.752 (multiplicity 1)
P: 0.948 0.324 0.912 (multiplicity 1)
P: 0.957 0.611 0.417 (multiplicity 1)
P: 0.984 0.277 0.250 (multiplicity 1)
S: 0.286 0.277 0.752 (multiplicity 1)
S: 0.657 0.043 0.417 (multiplicity 1)
S: 0.989 0.714 0.752 (multiplicity 1)
O: 0.025 0.197 0.307 (multiplicity 1)
O: 0.027 0.841 0.093 (multiplicity 1)
O: 0.031 0.189 0.593 (multiplicity 1)
O: 0.031 0.830 0.806 (multiplicity 1)
O: 0.132 0.639 0.141 (multiplicity 1)
O: 0.135 0.495 0.641 (multiplicity 1)
O: 0.136 0.495 0.925 (multiplicity 1)
O: 0.144 0.640 0.428 (multiplicity 1)
O: 0.155 0.694 0.745 (multiplicity 1)
O: 0.158 0.466 0.243 (multiplicity 1)
O: 0.159 0.971 0.595 (multiplicity 1)
O: 0.160 0.187 0.092 (multiplicity 1)
O: 0.162 0.699 0.028 (multiplicity 1)
O: 0.168 0.461 0.528 (multiplicity 1)
O: 0.172 0.200 0.806 (multiplicity 1)
O: 0.174 0.975 0.307 (multiplicity 1)
O: 0.186 0.027 0.906 (multiplicity 1)
O: 0.195 0.173 0.411 (multiplicity 1)
O: 0.205 0.041 0.194 (multiplicity 1)
O: 0.205 0.169 0.697 (multiplicity 1)
O: 0.294 0.829 0.527 (multiplicity 1)
O: 0.301 0.463 0.028 (multiplicity 1)
O: 0.304 0.461 0.744 (multiplicity 1)
O: 0.308 0.841 0.242 (multiplicity 1)
O: 0.358 0.864 0.641 (multiplicity 1)
O: 0.358 0.865 0.925 (multiplicity 1)
O: 0.362 0.494 0.141 (multiplicity 1)
O: 0.366 0.509 0.428 (multiplicity 1)
O: 0.459 0.165 0.972 (multiplicity 1)
O: 0.467 0.302 0.473 (multiplicity 1)
O: 0.468 0.304 0.760 (multiplicity 1)
O: 0.481 0.176 0.260 (multiplicity 1)
O: 0.493 0.132 0.575 (multiplicity 1)
O: 0.497 0.137 0.859 (multiplicity 1)
O: 0.497 0.357 0.078 (multiplicity 1)
O: 0.499 0.364 0.361 (multiplicity 1)
O: 0.501 0.864 0.426 (multiplicity 1)
O: 0.504 0.642 0.640 (multiplicity 1)
O: 0.505 0.639 0.925 (multiplicity 1)
O: 0.506 0.868 0.141 (multiplicity 1)
O: 0.533 0.694 0.242 (multiplicity 1)
O: 0.534 0.708 0.527 (multiplicity 1)
O: 0.534 0.841 0.742 (multiplicity 1)
O: 0.538 0.839 0.028 (multiplicity 1)
O: 0.636 0.127 0.363 (multiplicity 1)
O: 0.639 0.508 0.576 (multiplicity 1)
O: 0.640 0.499 0.858 (multiplicity 1)
O: 0.643 0.141 0.078 (multiplicity 1)
O: 0.697 0.158 0.472 (multiplicity 1)
O: 0.697 0.523 0.258 (multiplicity 1)
O: 0.698 0.173 0.761 (multiplicity 1)
O: 0.703 0.535 0.971 (multiplicity 1)
O: 0.803 0.829 0.307 (multiplicity 1)
O: 0.806 0.970 0.808 (multiplicity 1)
O: 0.812 0.841 0.593 (multiplicity 1)
O: 0.813 0.973 0.093 (multiplicity 1)
O: 0.823 0.302 0.260 (multiplicity 1)
O: 0.825 0.025 0.411 (multiplicity 1)
O: 0.833 0.534 0.760 (multiplicity 1)
O: 0.834 0.296 0.972 (multiplicity 1)
O: 0.834 0.529 0.473 (multiplicity 1)
O: 0.837 0.799 0.194 (multiplicity 1)
O: 0.839 0.036 0.695 (multiplicity 1)
O: 0.841 0.809 0.908 (multiplicity 1)
O: 0.859 0.503 0.078 (multiplicity 1)
O: 0.864 0.364 0.859 (multiplicity 1)
O: 0.865 0.356 0.575 (multiplicity 1)
O: 0.868 0.500 0.361 (multiplicity 1)
O: 0.960 0.164 0.194 (multiplicity 1)
O: 0.967 0.797 0.697 (multiplicity 1)
O: 0.973 0.804 0.411 (multiplicity 1)
O: 0.974 0.162 0.908 (multiplicity 1)

- Electronic total energy: -801.31 eV per cell
- Energy relative to the elements: -101.1 eV per formula unit


[2]
Compound: Cu2O3
Source: the Materials Project
Functional: GGA-PBE
Structure: relaxed

Lattice parameters (Å, degrees): 9.728 11.920 3.609 90.00 90.00 90.00
Space group Fdd2 (No. 43)
Symmetry-distinct sites (fractional):
Cu: 0.115 0.297 0.000 (multiplicity 16)
O: 0.000 0.000 0.433 (multiplicity 8)
O: 0.016 0.169 0.877 (multiplicity 16)

- Piezoelectric modulus e_max: 0.9 C/m2
- Electronic total energy: -200.97 eV per cell
- Energy relative to the elements: -4.1 eV per formula unit